1.
## LaNb2AgO7 (GGA-PBE)

Data for a relaxed LaNb2AgO7 crystal.

Cell: 11.3054 11.3054 11.3054 Å, 159.95 159.95 28.50°
Last column: nearest neighbours and their distance in Å.
Fractional coordinates of all 11 atoms:
La: 0.0000 0.0000 0.0000  12 O 2.69-2.78
Nb: 0.3962 0.3962 0.0000  5 O 1.82-2.02
Nb: 0.6038 0.6038 0.0000  5 O 1.82-2.02
Ag: 0.2500 0.7500 0.5000  4 O 2.41
O: 0.0839 0.5839 0.5000  2 Nb 2.02
O: 0.3131 0.3131 0.0000  1 Nb 1.82
O: 0.4161 0.9161 0.5000  2 Nb 2.02
O: 0.5000 0.5000 0.0000  2 Nb 2.28
O: 0.5836 0.0836 0.5000  2 Nb 2.02
O: 0.6869 0.6869 0.0000  1 Nb 1.82
O: 0.9164 0.4164 0.5000  2 Nb 2.02

ΔE_f = -2.89 eV per atom
Total magnetization = 0.0 μB/f.u.

---

2.
## LaNb2AgO7 (GGA-PBE)

Data for a relaxed LaNb2AgO7 crystal.

Cell: 22.4685 22.4685 22.4685 Å, 159.74 159.74 28.80°
Last column: nearest neighbours and their distance in Å.
Fractional coordinates of all 88 atoms:
La: 0.0000 0.0000 0.0000  12 O 2.68-2.84
La: 0.0000 0.0000 0.5000  12 O 2.68-2.84
La: 0.0000 0.5000 0.0000  12 O 2.68-2.84
La: 0.0000 0.5000 0.5000  12 O 2.68-2.84
La: 0.5000 0.0000 0.0000  12 O 2.68-2.84
La: 0.5000 0.0000 0.5000  12 O 2.68-2.84
La: 0.5000 0.5000 0.0000  12 O 2.68-2.84
La: 0.5000 0.5000 0.5000  12 O 2.68-2.84
Nb: 0.1943 0.1983 0.4966  5 O 1.82-2.02
Nb: 0.1983 0.2017 0.0040  5 O 1.82-2.02
Nb: 0.1977 0.7017 0.5034  5 O 1.82-2.02
Nb: 0.2017 0.6977 0.0034  5 O 1.82-2.02
Nb: 0.2983 0.3017 0.4960  5 O 1.82-2.02
Nb: 0.3017 0.3057 0.0034  5 O 1.82-2.02
Nb: 0.3023 0.8057 0.5040  5 O 1.82-2.02
Nb: 0.3057 0.8023 0.0040  5 O 1.82-2.02
Nb: 0.6943 0.1977 0.9960  5 O 1.82-2.02
Nb: 0.6977 0.1943 0.4960  5 O 1.82-2.02
Nb: 0.6983 0.6943 0.9966  5 O 1.82-2.02
Nb: 0.7017 0.6983 0.5040  5 O 1.82-2.02
Nb: 0.7983 0.3023 0.9966  5 O 1.82-2.02
Nb: 0.8023 0.2983 0.4966  5 O 1.82-2.02
Nb: 0.8017 0.7983 0.9960  5 O 1.82-2.02
Nb: 0.8057 0.8017 0.5034  5 O 1.82-2.02
Ag: 0.1238 0.8738 0.7476  4 O 2.37-2.42
Ag: 0.1262 0.3738 0.2500  4 O 2.37-2.42
Ag: 0.3738 0.6238 0.2476  4 O 2.37-2.42
Ag: 0.3762 0.1238 0.7500  4 O 2.37-2.42
Ag: 0.6238 0.8762 0.2500  4 O 2.37-2.42
Ag: 0.6262 0.3762 0.7524  4 O 2.37-2.42
Ag: 0.8738 0.6262 0.7500  4 O 2.37-2.42
Ag: 0.8762 0.1262 0.2524  4 O 2.37-2.42
O: 0.0395 0.2928 0.2469  2 Nb 2.01-2.02
O: 0.0416 0.2916 0.7500  2 Nb 2.02
O: 0.0422 0.7922 0.2500  2 Nb 2.02
O: 0.0459 0.7928 0.7533  2 Nb 2.01-2.02
O: 0.1531 0.6584 0.4992  1 Nb 1.82
O: 0.1539 0.1591 0.5008  1 Nb 1.82
O: 0.1584 0.6531 0.9992  1 Nb 1.82
O: 0.1591 0.1584 0.0053  1 Nb 1.82
O: 0.2072 0.4605 0.2531  2 Nb 2.01-2.02
O: 0.2073 0.9605 0.7533  2 Nb 2.01-2.02
O: 0.2084 0.4584 0.7500  2 Nb 2.02
O: 0.2078 0.9578 0.2500  2 Nb 2.02
O: 0.2423 0.2500 0.4923  2 Nb 2.26
O: 0.2500 0.2577 0.0077  2 Nb 2.26
O: 0.2500 0.7577 0.5077  2 Nb 2.26
O: 0.2577 0.7500 0.0077  2 Nb 2.26
O: 0.2916 0.0416 0.2500  2 Nb 2.02
O: 0.2922 0.5422 0.7500  2 Nb 2.02
O: 0.2927 0.0459 0.7531  2 Nb 2.01-2.02
O: 0.2928 0.5459 0.2533  2 Nb 2.01-2.02
O: 0.3409 0.3461 0.9992  1 Nb 1.82
O: 0.3416 0.3409 0.4947  1 Nb 1.82
O: 0.3461 0.8469 0.0053  1 Nb 1.82
O: 0.3469 0.8461 0.5053  1 Nb 1.82
O: 0.4541 0.2073 0.7469  2 Nb 2.01-2.02
O: 0.4584 0.2084 0.2500  2 Nb 2.02
O: 0.4578 0.7078 0.7500  2 Nb 2.02
O: 0.4605 0.7073 0.2533  2 Nb 2.01-2.02
O: 0.5395 0.2927 0.7467  2 Nb 2.01-2.02
O: 0.5422 0.2922 0.2500  2 Nb 2.02
O: 0.5416 0.7916 0.7500  2 Nb 2.02
O: 0.5459 0.7927 0.2531  2 Nb 2.01-2.02
O: 0.6531 0.1539 0.4947  1 Nb 1.82
O: 0.6539 0.1531 0.9947  1 Nb 1.82
O: 0.6584 0.6591 0.5053  1 Nb 1.82
O: 0.6591 0.6539 0.0008  1 Nb 1.82
O: 0.7072 0.4541 0.7467  2 Nb 2.01-2.02
O: 0.7073 0.9541 0.2469  2 Nb 2.01-2.02
O: 0.7078 0.4578 0.2500  2 Nb 2.02
O: 0.7084 0.9584 0.7500  2 Nb 2.02
O: 0.7423 0.2500 0.9923  2 Nb 2.26
O: 0.7500 0.2423 0.4923  2 Nb 2.26
O: 0.7500 0.7423 0.9923  2 Nb 2.26
O: 0.7577 0.7500 0.5077  2 Nb 2.26
O: 0.7922 0.0422 0.7500  2 Nb 2.02
O: 0.7916 0.5416 0.2500  2 Nb 2.02
O: 0.7927 0.0395 0.2467  2 Nb 2.01-2.02
O: 0.7928 0.5395 0.7469  2 Nb 2.01-2.02
O: 0.8409 0.8416 0.9947  1 Nb 1.82
O: 0.8416 0.3469 0.0008  1 Nb 1.82
O: 0.8461 0.8409 0.4992  1 Nb 1.82
O: 0.8469 0.3416 0.5008  1 Nb 1.82
O: 0.9541 0.2072 0.2467  2 Nb 2.01-2.02
O: 0.9578 0.2078 0.7500  2 Nb 2.02
O: 0.9584 0.7084 0.2500  2 Nb 2.02
O: 0.9605 0.7072 0.7531  2 Nb 2.01-2.02

ΔE_f = -2.89 eV per atom
Total magnetization = 0.0 μB/f.u.

---

3.
## LaAgO2 (GGA-PBE)

Data for a relaxed LaAgO2 crystal.

Cell: 6.6130 6.6130 6.6130 Å, 33.73 33.73 33.73°
Last column: nearest neighbours and their distance in Å.
Fractional coordinates of all 4 atoms:
La: 0.0000 0.0000 0.0000  6 O 2.45
Ag: 0.5000 0.5000 0.5000  2 O 2.07
O: 0.3891 0.3891 0.3891  1 Ag 2.07
O: 0.6109 0.6109 0.6109  1 Ag 2.07

ΔE_f = -2.57 eV per atom

---

4.
## La2AgO4 (GGA-PBE)

Data for a relaxed La2AgO4 crystal.

Cell: 7.1190 7.1190 7.1190 Å, 146.30 146.30 48.40°
Last column: nearest neighbours and their distance in Å.
Fractional coordinates of all 7 atoms:
La: 0.1384 0.1384 0.0000  1 O 2.17
La: 0.8616 0.8616 0.0000  1 O 2.17
Ag: 0.5000 0.5000 0.0000  4 O 2.06
O: 0.0000 0.5000 0.5000  2 Ag 2.06
O: 0.3052 0.3052 0.0000  1 La 2.17
O: 0.5000 0.0000 0.5000  2 Ag 2.06
O: 0.6948 0.6948 0.0000  1 La 2.17

ΔE_f = -2.64 eV per atom
Total magnetization = 0.0 μB/f.u.

---

5.
## LaAgO2 (GGA-PBE)

Data for a relaxed LaAgO2 crystal.

Cell: 3.8382 3.8382 12.4768 Å, 90.00 90.00 120.00°
Last column: nearest neighbours and their distance in Å.
Fractional coordinates of all 8 atoms:
La: 0.0000 0.0000 0.0000  6 O 2.45
La: 0.0000 0.0000 0.5000  6 O 2.45
Ag: 0.3333 0.6667 0.2500  2 O 2.07
Ag: 0.6667 0.3333 0.7500  2 O 2.07
O: 0.3333 0.6667 0.0838  1 Ag 2.07
O: 0.3333 0.6667 0.4162  1 Ag 2.07
O: 0.6667 0.3333 0.5838  1 Ag 2.07
O: 0.6667 0.3333 0.9162  1 Ag 2.07

ΔE_f = -2.57 eV per atom

---

6.
## LaAgP4O12 (GGA-PBE)

Data for a relaxed LaAgP4O12 crystal.

Cell: 7.4087 13.4133 12.5538 Å, 90.00 125.81 90.00°
Last column: nearest neighbours and their distance in Å.
Fractional coordinates of all 72 atoms:
La: 0.0362 0.2171 0.0229  8 O 2.45-2.59
La: 0.0362 0.2829 0.5229  8 O 2.45-2.59
La: 0.9638 0.7171 0.4771  8 O 2.45-2.59
La: 0.9638 0.7829 0.9771  8 O 2.45-2.59
Ag: 0.4321 0.2221 0.9326  5 O 2.51-2.71
Ag: 0.4321 0.2779 0.4326  5 O 2.51-2.71
Ag: 0.5679 0.7221 0.5674  5 O 2.51-2.71
Ag: 0.5679 0.7779 0.0674  5 O 2.51-2.71
P: 0.0679 0.0888 0.3014  4 O 1.50-1.62
P: 0.0679 0.4112 0.8014  4 O 1.50-1.62
P: 0.1622 0.6259 0.8060  4 O 1.50-1.62
P: 0.1622 0.8741 0.3060  4 O 1.50-1.62
P: 0.3820 0.6132 0.2626  4 O 1.50-1.61
P: 0.3820 0.8868 0.7626  4 O 1.50-1.61
P: 0.4924 0.5981 0.7458  4 O 1.51-1.61
P: 0.4924 0.9019 0.2458  4 O 1.51-1.61
P: 0.5076 0.0981 0.7542  4 O 1.51-1.61
P: 0.5076 0.4019 0.2542  4 O 1.51-1.61
P: 0.6180 0.1132 0.2374  4 O 1.50-1.61
P: 0.6180 0.3868 0.7374  4 O 1.50-1.61
P: 0.8378 0.1259 0.6940  4 O 1.50-1.62
P: 0.8378 0.3741 0.1940  4 O 1.50-1.62
P: 0.9321 0.5888 0.1986  4 O 1.50-1.62
P: 0.9321 0.9112 0.6986  4 O 1.50-1.62
O: 0.0163 0.1329 0.8390  1 P 1.50
O: 0.0163 0.3671 0.3390  1 P 1.50
O: 0.1300 0.1087 0.2090  1 P 1.50
O: 0.1300 0.3913 0.7090  1 P 1.50
O: 0.1471 0.5216 0.8645  2 P 1.61-1.62
O: 0.1471 0.9784 0.3645  2 P 1.61-1.62
O: 0.1523 0.1587 0.4153  1 P 1.51
O: 0.1523 0.3413 0.9153  1 P 1.51
O: 0.1814 0.7068 0.8954  1 P 1.51
O: 0.1814 0.7932 0.3954  1 P 1.51
O: 0.2002 0.5785 0.2867  2 P 1.61-1.62
O: 0.2002 0.9215 0.7867  2 P 1.61-1.62
O: 0.2843 0.6885 0.1542  1 P 1.50
O: 0.2843 0.8115 0.6542  1 P 1.50
O: 0.3064 0.1637 0.7033  1 P 1.51
O: 0.3064 0.3363 0.2033  1 P 1.51
O: 0.3081 0.6037 0.6010  1 P 1.51
O: 0.3081 0.8963 0.1010  1 P 1.51
O: 0.4045 0.6193 0.8343  2 P 1.61-1.62
O: 0.4045 0.8807 0.3343  2 P 1.61-1.62
O: 0.4111 0.1413 0.1052  1 P 1.51
O: 0.4111 0.3587 0.6052  1 P 1.51
O: 0.4213 0.5142 0.2073  2 P 1.60-1.61
O: 0.4213 0.9858 0.7073  2 P 1.60-1.61
O: 0.5787 0.0142 0.2927  2 P 1.60-1.61
O: 0.5787 0.4858 0.7927  2 P 1.60-1.61
O: 0.5889 0.6413 0.3948  1 P 1.51
O: 0.5889 0.8587 0.8948  1 P 1.51
O: 0.5955 0.1193 0.6657  2 P 1.61-1.62
O: 0.5955 0.3807 0.1657  2 P 1.61-1.62
O: 0.6919 0.1037 0.8990  1 P 1.51
O: 0.6919 0.3963 0.3990  1 P 1.51
O: 0.6936 0.6637 0.7967  1 P 1.51
O: 0.6936 0.8363 0.2967  1 P 1.51
O: 0.7157 0.1885 0.3458  1 P 1.50
O: 0.7157 0.3115 0.8458  1 P 1.50
O: 0.7998 0.0785 0.2133  2 P 1.61-1.62
O: 0.7998 0.4215 0.7133  2 P 1.61-1.62
O: 0.8186 0.2068 0.6046  1 P 1.51
O: 0.8186 0.2932 0.1046  1 P 1.51
O: 0.8477 0.6587 0.0847  1 P 1.51
O: 0.8477 0.8413 0.5847  1 P 1.51
O: 0.8529 0.0216 0.6355  2 P 1.61-1.62
O: 0.8529 0.4784 0.1355  2 P 1.61-1.62
O: 0.8700 0.6087 0.2910  1 P 1.50
O: 0.8700 0.8913 0.7910  1 P 1.50
O: 0.9837 0.6329 0.6610  1 P 1.50
O: 0.9837 0.8671 0.1610  1 P 1.50

ΔE_f = -2.73 eV per atom
Total magnetization = 0.0 μB/f.u.